Entry 1:
Crystalline ErSnPd at its relaxed geometry, computed with PBE.

Summary:
* volume: 263 Å³ per cell
* M_tot: 0.0 μB per formula unit
* total energy: -5.48 eV/atom

Structure (CIF):
```
data_ErSnPd
_cell_length_a 7.051
_cell_length_b 4.657
_cell_length_c 8.006
_cell_angle_alpha 90.00
_cell_angle_beta 90.00
_cell_angle_gamma 90.00
_symmetry_space_group_name_H-M 'P n m a'
_symmetry_Int_Tables_number 62
_symmetry_space_group_name_Hall '-P 2ac 2n'
loop_
_atom_site_label
_atom_site_fract_x
_atom_site_fract_y
_atom_site_fract_z
Er1 0.006 0.250 0.218
Sn1 0.204 0.250 0.585
Pd1 0.222 0.750 0.417
```

=====

Entry 2:
Crystalline ErSnPd at its relaxed geometry, computed with PBE.

Summary:
* volume: 195 Å³ per cell
* total energy: -5.52 eV/atom

Structure (CIF):
```
data_ErSnPd
_cell_length_a 7.6321
_cell_length_b 7.6321
_cell_length_c 3.8581
_cell_angle_alpha 90.00
_cell_angle_beta 90.00
_cell_angle_gamma 120.00
_symmetry_space_group_name_H-M 'P -6 2 m'
_symmetry_Int_Tables_number 189
_symmetry_space_group_name_Hall 'P -6 -2'
loop_
_atom_site_label
_atom_site_fract_x
_atom_site_fract_y
_atom_site_fract_z
Er1 0.0000 0.5951 0.0000
Sn1 0.0000 0.2608 0.5000
Pd1 0.0000 0.0000 0.0000
Pd2 0.3333 0.6667 0.5000
```

=====

Entry 3:
Crystalline ErTlPd at its relaxed geometry, computed with PBE.

Summary:
* volume: 200 Å³ per cell
* total energy: -4.69 eV/atom

Structure (CIF):
```
data_ErTlPd
_cell_length_a 7.8599
_cell_length_b 7.8599
_cell_length_c 3.7435
_cell_angle_alpha 90.00
_cell_angle_beta 90.00
_cell_angle_gamma 120.00
_symmetry_space_group_name_H-M 'P -6 2 m'
_symmetry_Int_Tables_number 189
_symmetry_space_group_name_Hall 'P -6 -2'
loop_
_atom_site_label
_atom_site_fract_x
_atom_site_fract_y
_atom_site_fract_z
Er1 0.0000 0.4014 0.0000
Tl1 0.0000 0.7313 0.5000
Pd1 0.0000 0.0000 0.0000
Pd2 0.3333 0.6667 0.5000
```